(1)
NaV5O8 (PBE with a Hubbard U, optimized geometry); offset from the most stable computed form = 12 meV/atom; energy of formation from the pure elements = -33.66 eV per formula unit; calculated total energy = -7.571 eV/atom
1.0
0.000 3.058 0.000
-7.731 -1.529 0.110
3.881 1.529 13.883
O V Na
16 10 2
direct
0.082 0.851 0.688
0.326 0.643 0.991
0.082 0.351 0.188
0.424 0.999 0.151
0.918 0.649 0.812
0.674 0.857 0.509
0.576 0.501 0.349
0.674 0.357 0.009
0.731 0.140 0.679
0.269 0.860 0.321
0.731 0.640 0.179
0.269 0.360 0.821
0.576 0.001 0.849
0.326 0.143 0.491
0.918 0.149 0.312
0.424 0.499 0.651
0.202 0.488 0.084
0.846 0.907 0.214
0.798 0.012 0.416
0.798 0.512 0.916
0.846 0.407 0.714
0.202 0.988 0.584
0.500 0.750 0.750
0.154 0.593 0.286
0.154 0.093 0.786
0.500 0.250 0.250
0.000 0.000 0.000
0.000 0.500 0.500

---

(2)
NaV4O10 (PBE with a Hubbard U, optimized geometry); offset from the most stable computed form = 9 meV/atom; energy of formation from the pure elements = -34.83 eV per formula unit; calculated total energy = -7.220 eV/atom
1.0
5.037 -1.954 2.982
6.163 0.217 0.233
1.275 7.186 6.195
O V Na
10 4 1
direct
0.150 0.150 0.338
0.742 0.742 0.123
0.850 0.850 0.662
0.065 0.065 0.096
0.094 0.094 0.666
0.624 0.624 0.862
0.935 0.935 0.904
0.906 0.906 0.334
0.376 0.376 0.138
0.258 0.258 0.877
0.911 0.911 0.162
0.797 0.797 0.832
0.089 0.089 0.838
0.203 0.203 0.168
0.500 0.500 0.500

---

Q: The highest calculated total energy belongs to which entry?
A: NaV4O10

---

Q: Look up the offset from the most stable computed form of the first one.
A: 12 meV/atom

---

Please write out number 2 again, unchanged.
NaV4O10 (PBE with a Hubbard U, optimized geometry); offset from the most stable computed form = 9 meV/atom; energy of formation from the pure elements = -34.83 eV per formula unit; calculated total energy = -7.220 eV/atom
1.0
5.037 -1.954 2.982
6.163 0.217 0.233
1.275 7.186 6.195
O V Na
10 4 1
direct
0.150 0.150 0.338
0.742 0.742 0.123
0.850 0.850 0.662
0.065 0.065 0.096
0.094 0.094 0.666
0.624 0.624 0.862
0.935 0.935 0.904
0.906 0.906 0.334
0.376 0.376 0.138
0.258 0.258 0.877
0.911 0.911 0.162
0.797 0.797 0.832
0.089 0.089 0.838
0.203 0.203 0.168
0.500 0.500 0.500

---

Q: The highest energy of formation from the pure elements belongs to which entry?
A: NaV5O8